(1)
Below is crystalline HfAlCu2 at its relaxed geometry, with properties calculated at the GGA-PBE level.

Output
Energy relative to the elements ... -329 meV/atom
Volume ... 238.1 Å³ per cell

abc: 6.198 6.198 6.198
angles: 90.00 90.00 90.00
Fractional positions:
Hf 0.000 0.000 0.000
Hf 0.000 0.500 0.500
Hf 0.500 0.000 0.500
Hf 0.500 0.500 0.000
Al 0.000 0.000 0.500
Al 0.000 0.500 0.000
Al 0.500 0.000 0.000
Al 0.500 0.500 0.500
Cu 0.250 0.250 0.250
Cu 0.250 0.250 0.750
Cu 0.250 0.750 0.250
Cu 0.250 0.750 0.750
Cu 0.750 0.250 0.250
Cu 0.750 0.250 0.750
Cu 0.750 0.750 0.250
Cu 0.750 0.750 0.750

***

(2)
Below is crystalline Ho15Si9C at its relaxed geometry, with properties calculated at the GGA-PBE level.

Output
Energy relative to the elements ... -669 meV/atom
Volume ... 1169.6 Å³ per cell
Total moment ... 0.00 μB/atom

abc: 14.578 14.578 6.355
angles: 90.00 90.00 120.00
Fractional positions:
Ho 0.013 0.338 0.234
Ho 0.013 0.674 0.234
Ho 0.074 0.148 0.500
Ho 0.074 0.926 0.500
Ho 0.148 0.074 0.000
Ho 0.169 0.584 0.492
Ho 0.252 0.503 0.970
Ho 0.252 0.748 0.970
Ho 0.326 0.338 0.234
Ho 0.326 0.987 0.234
Ho 0.338 0.013 0.734
Ho 0.338 0.326 0.734
Ho 0.416 0.584 0.492
Ho 0.416 0.831 0.492
Ho 0.497 0.748 0.970
Ho 0.503 0.252 0.470
Ho 0.584 0.169 0.992
Ho 0.584 0.416 0.992
Ho 0.662 0.674 0.234
Ho 0.662 0.987 0.234
Ho 0.674 0.013 0.734
Ho 0.674 0.662 0.734
Ho 0.748 0.252 0.470
Ho 0.748 0.497 0.470
Ho 0.831 0.416 0.992
Ho 0.852 0.926 0.500
Ho 0.926 0.074 0.000
Ho 0.926 0.852 0.000
Ho 0.987 0.326 0.734
Ho 0.987 0.662 0.734
Si 0.069 0.534 0.973
Si 0.136 0.272 0.964
Si 0.136 0.864 0.964
Si 0.202 0.404 0.514
Si 0.202 0.798 0.514
Si 0.272 0.136 0.464
Si 0.404 0.202 0.014
Si 0.466 0.534 0.973
Si 0.466 0.931 0.973
Si 0.534 0.069 0.473
Si 0.534 0.466 0.473
Si 0.596 0.798 0.514
Si 0.728 0.864 0.964
Si 0.798 0.202 0.014
Si 0.798 0.596 0.014
Si 0.864 0.136 0.464
Si 0.864 0.728 0.464
Si 0.931 0.466 0.473
C 0.000 0.000 0.247
C 0.000 0.000 0.747